(1)
This record from the Materials Project describes crystalline Na4CaFe4P6O24 at its relaxed geometry. The functional is PBE+U.

Offset from the most stable computed form: 32.01 eV/f.u.
Total DFT energy (no corrections): -6.317 eV per atom

Cell: 9.4470 9.4470 7.2149 Å, 107.17 107.17 96.16°
Fractional positions:
Na (0.0000, 0.0000, 0.0000)
Na (0.1558, 0.7784, 0.7061)
Na (0.2216, 0.8442, 0.2939)
Na (0.6404, 0.3596, 0.0000)
Ca (0.4029, 0.5971, 0.5000)
Fe (0.3025, 0.2732, 0.6350)
Fe (0.6187, 0.0381, 0.2071)
Fe (0.7268, 0.6975, 0.3650)
Fe (0.9619, 0.3813, 0.7929)
P (0.0461, 0.4320, 0.1732)
P (0.4243, 0.5757, 0.0000)
P (0.5680, 0.9539, 0.8268)
P (0.6164, 0.3836, 0.5000)
P (0.7432, 0.0238, 0.6598)
P (0.9762, 0.2568, 0.3402)
O (0.0245, 0.7531, 0.9438)
O (0.0616, 0.3250, 0.5751)
O (0.1046, 0.2735, 0.2354)
O (0.1490, 0.5710, 0.3469)
O (0.2428, 0.0782, 0.5288)
O (0.2469, 0.9755, 0.0562)
O (0.3503, 0.6190, 0.8097)
O (0.3810, 0.6497, 0.1903)
O (0.3830, 0.3950, 0.9313)
O (0.3870, 0.0074, 0.0547)
O (0.4290, 0.8510, 0.6531)
O (0.4610, 0.3671, 0.5395)
O (0.6050, 0.6170, 0.0687)
O (0.6153, 0.2587, 0.3056)
O (0.6199, 0.1030, 0.7489)
O (0.6329, 0.5390, 0.4605)
O (0.6750, 0.9384, 0.4249)
O (0.7265, 0.8954, 0.7646)
O (0.7413, 0.3847, 0.6944)
O (0.8732, 0.1028, 0.2516)
O (0.8972, 0.1268, 0.7484)
O (0.8970, 0.3801, 0.2511)
O (0.9218, 0.7572, 0.4712)
O (0.9926, 0.6130, 0.9453)

=====

(2)
This record from the Materials Project describes crystalline BaSrLaWO6 at its relaxed geometry. The functional is PBE+U.

Offset from the most stable computed form: 1.22 eV/f.u.
Total DFT energy (no corrections): -7.215 eV per atom

Cell: 6.1464 6.1464 6.1464 Å, 60.00 60.00 60.00°
Fractional positions:
Ba (0.0000, 0.0000, 0.0000)
Sr (0.5000, 0.5000, 0.5000)
La (0.7500, 0.7500, 0.7500)
W (0.2500, 0.2500, 0.2500)
O (0.0204, 0.0204, 0.4796)
O (0.0204, 0.4796, 0.0204)
O (0.0204, 0.4796, 0.4796)
O (0.4796, 0.0204, 0.0204)
O (0.4796, 0.0204, 0.4796)
O (0.4796, 0.4796, 0.0204)

=====

(3)
This record from the Materials Project describes crystalline Ni2PO5 at its relaxed geometry. The functional is PBE+U.

Offset from the most stable computed form: 0.12 eV/f.u.
Total DFT energy (no corrections): -5.976 eV per atom

Cell: 7.1816 6.3596 7.4895 Å, 90.00 90.00 90.00°
Fractional positions:
Ni (0.0000, 0.0000, 0.0000)
Ni (0.0000, 0.5000, 0.0000)
Ni (0.1446, 0.2500, 0.2764)
Ni (0.3554, 0.7500, 0.7764)
Ni (0.5000, 0.0000, 0.5000)
Ni (0.5000, 0.5000, 0.5000)
Ni (0.6446, 0.2500, 0.2236)
Ni (0.8554, 0.7500, 0.7236)
P (0.1191, 0.7500, 0.3619)
P (0.3809, 0.2500, 0.8619)
P (0.6191, 0.7500, 0.1381)
P (0.8809, 0.2500, 0.6381)
O (0.0551, 0.2500, 0.5255)
O (0.0988, 0.7500, 0.8612)
O (0.1317, 0.5572, 0.2333)
O (0.1317, 0.9428, 0.2333)
O (0.1990, 0.2500, 0.9790)
O (0.3010, 0.7500, 0.4790)
O (0.3683, 0.0572, 0.7333)
O (0.3683, 0.4428, 0.7333)
O (0.4012, 0.2500, 0.3612)
O (0.4449, 0.7500, 0.0255)
O (0.5551, 0.2500, 0.9745)
O (0.5988, 0.7500, 0.6388)
O (0.6317, 0.5572, 0.2667)
O (0.6317, 0.9428, 0.2667)
O (0.6990, 0.2500, 0.5210)
O (0.8010, 0.7500, 0.0210)
O (0.8683, 0.0572, 0.7667)
O (0.8683, 0.4428, 0.7667)
O (0.9012, 0.2500, 0.1388)
O (0.9449, 0.7500, 0.4745)

=====

(4)
This record from the Materials Project describes crystalline MgMnV4CuO12 at its relaxed geometry. The functional is PBE+U.

Offset from the most stable computed form: 0.08 eV/f.u.
Total DFT energy (no corrections): -7.174 eV per atom

Cell: 5.8820 6.9210 6.9264 Å, 79.44 73.17 73.59°
Fractional positions:
Mg (0.0000, 0.0000, 0.0000)
Mn (0.4825, 0.2084, 0.8101)
V (0.0212, 0.8857, 0.5399)
V (0.4565, 0.6665, 0.9427)
V (0.5268, 0.0702, 0.3477)
V (0.9620, 0.4621, 0.1372)
Cu (0.9876, 0.3765, 0.6527)
O (0.0258, 0.6501, 0.6484)
O (0.0806, 0.2782, 0.9476)
O (0.1362, 0.6758, 0.0659)
O (0.3279, 0.9011, 0.4065)
O (0.4106, 0.9170, 0.8369)
O (0.4272, 0.2479, 0.5103)
O (0.5716, 0.4928, 0.7702)
O (0.5776, 0.1634, 0.0964)
O (0.6537, 0.6186, 0.1030)
O (0.8453, 0.9453, 0.3456)
O (0.8985, 0.0479, 0.7312)
O (0.9846, 0.3578, 0.3744)

=====

(5)
This record from the Materials Project describes crystalline ZnCrPO5 at its relaxed geometry. The functional is PBE+U.

Total DFT energy (no corrections): -6.834 eV per atom

Cell: 5.4405 5.4443 7.2550 Å, 108.46 108.44 95.57°
Fractional positions:
Zn (0.0000, 0.0000, 0.0000)
Zn (0.3721, 0.6345, 0.5010)
Cr (0.6792, 0.3104, 0.7360)
Cr (0.6792, 0.3108, 0.2360)
P (0.0266, 0.9579, 0.4847)
P (0.3280, 0.6594, 0.9853)
O (0.0181, 0.6070, 0.8752)
O (0.3368, 0.0170, 0.5995)
O (0.3845, 0.9695, 0.0988)
O (0.4044, 0.5189, 0.1421)
O (0.4657, 0.5866, 0.8248)
O (0.5913, 0.3964, 0.4856)
O (0.7654, 0.2230, 0.9856)
O (0.8842, 0.0331, 0.6404)
O (0.9529, 0.0938, 0.3233)
O (0.9771, 0.6484, 0.3760)

=====

(6)
This record from the Materials Project describes crystalline Li9Mn2Co5O16 at its relaxed geometry. The functional is PBE+U.

Offset from the most stable computed form: 1.47 eV/f.u.
Total DFT energy (no corrections): -5.809 eV per atom

Cell: 5.7516 6.6808 7.7541 Å, 85.22 79.65 77.68°
Fractional positions:
Li (0.0000, 0.0000, 0.0000)
Li (0.0591, 0.1180, 0.6450)
Li (0.1227, 0.2419, 0.2681)
Li (0.2458, 0.4894, 0.5269)
Li (0.3669, 0.7432, 0.7726)
Li (0.4976, 0.9991, 0.0084)
Li (0.6230, 0.2377, 0.2648)
Li (0.7456, 0.4837, 0.5306)
Li (0.8740, 0.7478, 0.7699)
Mn (0.4302, 0.8703, 0.3963)
Mn (0.9334, 0.8720, 0.3958)
Co (0.1882, 0.3608, 0.8872)
Co (0.3089, 0.6178, 0.1401)
Co (0.5588, 0.1158, 0.6446)
Co (0.6889, 0.3599, 0.8878)
Co (0.8081, 0.6141, 0.1358)
O (0.0282, 0.5802, 0.3166)
O (0.0985, 0.6760, 0.9689)
O (0.1570, 0.8078, 0.5585)
O (0.2078, 0.9321, 0.2299)
O (0.2932, 0.0699, 0.8196)
O (0.3597, 0.1486, 0.4615)
O (0.4048, 0.3156, 0.0680)
O (0.4664, 0.4270, 0.7070)
O (0.5116, 0.5798, 0.3187)
O (0.5849, 0.6763, 0.9724)
O (0.6621, 0.7975, 0.5561)
O (0.7123, 0.9162, 0.2244)
O (0.7614, 0.0687, 0.8210)
O (0.8319, 0.1494, 0.4631)
O (0.9028, 0.3162, 0.0802)
O (0.9586, 0.4350, 0.7259)

=====

(7)
This record from the Materials Project describes crystalline Mn4Zn3H10C2O16 at its relaxed geometry. The functional is PBE+U.

Total DFT energy (no corrections): -6.065 eV per atom

Cell: 8.1952 8.1952 16.6950 Å, 95.69 95.69 40.40°
Fractional positions:
Mn (0.0368, 0.5292, 0.4101)
Mn (0.0418, 0.5645, 0.8155)
Mn (0.4355, 0.9582, 0.6845)
Mn (0.4708, 0.9632, 0.0899)
Mn (0.5292, 0.0368, 0.9101)
Mn (0.5645, 0.0418, 0.3155)
Mn (0.9582, 0.4355, 0.1845)
Mn (0.9632, 0.4708, 0.5899)
Zn (0.1098, 0.6164, 0.0385)
Zn (0.2218, 0.7782, 0.7500)
Zn (0.3836, 0.8902, 0.4615)
Zn (0.6164, 0.1098, 0.5385)
Zn (0.7782, 0.2218, 0.2500)
Zn (0.8902, 0.3836, 0.9615)
H (0.0254, 0.7911, 0.2844)
H (0.0623, 0.0972, 0.0695)
H (0.0972, 0.0623, 0.5695)
H (0.1161, 0.2044, 0.8342)
H (0.2044, 0.1161, 0.3342)
H (0.2089, 0.9746, 0.2156)
H (0.2161, 0.5358, 0.5577)
H (0.2944, 0.3787, 0.6861)
H (0.3787, 0.2944, 0.1861)
H (0.4642, 0.7839, 0.9423)
H (0.5358, 0.2161, 0.0577)
H (0.6213, 0.7056, 0.8139)
H (0.7056, 0.6213, 0.3139)
H (0.7839, 0.4642, 0.4423)
H (0.7911, 0.0254, 0.7844)
H (0.7956, 0.8839, 0.6658)
H (0.8839, 0.7956, 0.1658)
H (0.9028, 0.9377, 0.4305)
H (0.9377, 0.9028, 0.9305)
H (0.9746, 0.2089, 0.7156)
C (0.3954, 0.5586, 0.3731)
C (0.4414, 0.6046, 0.1269)
C (0.5586, 0.3954, 0.8731)
C (0.6046, 0.4414, 0.6269)
O (0.0624, 0.2162, 0.0659)
O (0.0735, 0.1342, 0.2451)
O (0.1220, 0.2854, 0.8819)
O (0.1342, 0.0735, 0.7451)
O (0.1988, 0.3568, 0.6999)
O (0.2162, 0.0624, 0.5659)
O (0.2392, 0.4113, 0.5272)
O (0.2473, 0.7387, 0.0773)
O (0.2613, 0.7527, 0.4227)
O (0.2854, 0.1220, 0.3819)
O (0.3225, 0.4646, 0.3500)
O (0.3568, 0.1988, 0.1999)
O (0.4010, 0.5369, 0.6544)
O (0.4113, 0.2392, 0.0272)
O (0.4631, 0.5990, 0.8456)
O (0.4646, 0.3225, 0.8500)
O (0.5354, 0.6775, 0.1500)
O (0.5369, 0.4010, 0.1544)
O (0.5887, 0.7608, 0.9728)
O (0.5990, 0.4631, 0.3456)
O (0.6432, 0.8012, 0.8001)
O (0.6775, 0.5354, 0.6500)
O (0.7146, 0.8780, 0.6181)
O (0.7387, 0.2473, 0.5773)
O (0.7527, 0.2613, 0.9227)
O (0.7608, 0.5887, 0.4728)
O (0.7838, 0.9376, 0.4341)
O (0.8012, 0.6432, 0.3001)
O (0.8658, 0.9265, 0.2549)
O (0.8780, 0.7146, 0.1181)
O (0.9265, 0.8658, 0.7549)
O (0.9376, 0.7838, 0.9341)

=====

(8)
This record from the Materials Project describes crystalline Li9Mn2Co5O16 at its relaxed geometry. The functional is PBE+U.

Offset from the most stable computed form: 3.08 eV/f.u.
Total DFT energy (no corrections): -5.758 eV per atom

Cell: 19.3872 19.3872 5.0739 Å, 93.98 93.98 8.72°
Fractional positions:
Li (0.0000, 0.0000, 0.0000)
Li (0.0594, 0.0594, 0.6879)
Li (0.1871, 0.1871, 0.0588)
Li (0.3135, 0.3135, 0.4313)
Li (0.4416, 0.4416, 0.8274)
Li (0.5584, 0.5584, 0.1726)
Li (0.6865, 0.6865, 0.5687)
Li (0.8129, 0.8129, 0.9412)
Li (0.9406, 0.9406, 0.3121)
Mn (0.1253, 0.1253, 0.3729)
Mn (0.8747, 0.8747, 0.6271)
Co (0.2508, 0.2508, 0.7492)
Co (0.3751, 0.3751, 0.1266)
Co (0.5000, 0.5000, 0.5000)
Co (0.6249, 0.6249, 0.8734)
Co (0.7492, 0.7492, 0.2508)
O (0.0266, 0.0266, 0.3581)
O (0.0964, 0.0964, 0.0448)
O (0.1522, 0.1522, 0.7039)
O (0.2219, 0.2219, 0.4176)
O (0.2785, 0.2785, 0.0798)
O (0.3483, 0.3483, 0.7584)
O (0.4022, 0.4022, 0.4978)
O (0.4728, 0.4728, 0.1999)
O (0.5272, 0.5272, 0.8001)
O (0.5978, 0.5978, 0.5022)
O (0.6517, 0.6517, 0.2416)
O (0.7215, 0.7215, 0.9202)
O (0.7781, 0.7781, 0.5824)
O (0.8478, 0.8478, 0.2961)
O (0.9036, 0.9036, 0.9552)
O (0.9734, 0.9734, 0.6419)

=====

(9)
This record from the Materials Project describes crystalline VFeP2O8 at its relaxed geometry. The functional is PBE+U.

Offset from the most stable computed form: 0.47 eV/f.u.
Total DFT energy (no corrections): -7.336 eV per atom

Cell: 8.4985 8.4985 8.4985 Å, 61.13 61.13 61.13°
Fractional positions:
V (0.0000, 0.0000, 0.0000)
V (0.1459, 0.1459, 0.1459)
V (0.6454, 0.6454, 0.6454)
Fe (0.2907, 0.2907, 0.2907)
Fe (0.4990, 0.4990, 0.4990)
Fe (0.7901, 0.7901, 0.7901)
P (0.0981, 0.6906, 0.3935)
P (0.1897, 0.5995, 0.8933)
P (0.3935, 0.0981, 0.6906)
P (0.5995, 0.8933, 0.1897)
P (0.6906, 0.3935, 0.0981)
P (0.8933, 0.1897, 0.5995)
O (0.0384, 0.6443, 0.8176)
O (0.0509, 0.2051, 0.4015)
O (0.0781, 0.8924, 0.2346)
O (0.1407, 0.7575, 0.9679)
O (0.1419, 0.5373, 0.3206)
O (0.2051, 0.4015, 0.0509)
O (0.2346, 0.0781, 0.8924)
O (0.2545, 0.6521, 0.4602)
O (0.3206, 0.1419, 0.5373)
O (0.3899, 0.5890, 0.7376)
O (0.4015, 0.0509, 0.2051)
O (0.4602, 0.2545, 0.6521)
O (0.5373, 0.3206, 0.1419)
O (0.5506, 0.8980, 0.7079)
O (0.5890, 0.7376, 0.3899)
O (0.6443, 0.8176, 0.0384)
O (0.6521, 0.4602, 0.2545)
O (0.7079, 0.5506, 0.8980)
O (0.7376, 0.3899, 0.5890)
O (0.7575, 0.9679, 0.1407)
O (0.8176, 0.0384, 0.6443)
O (0.8924, 0.2346, 0.0781)
O (0.8980, 0.7079, 0.5506)
O (0.9679, 0.1407, 0.7575)

=====

(10)
This record from the Materials Project describes crystalline LiV3O8 at its relaxed geometry. The functional is PBE+U.

Offset from the most stable computed form: 0.39 eV/f.u.
Total DFT energy (no corrections): -7.157 eV per atom

Cell: 6.9699 3.6231 12.4728 Å, 90.00 104.93 90.00°
Fractional positions:
Li (0.0000, 0.0000, 0.0000)
Li (0.1877, 0.0000, 0.2612)
V (0.3390, 0.5000, 0.8390)
V (0.4082, 0.5000, 0.0991)
V (0.5224, 0.5000, 0.3793)
V (0.7847, 0.0000, 0.2289)
V (0.9048, 0.0000, 0.5014)
V (0.9608, 0.0000, 0.7539)
O (0.0509, 0.5000, 0.7527)
O (0.1328, 0.0000, 0.5742)
O (0.1676, 0.5000, 0.0304)
O (0.2499, 0.0000, 0.8460)
O (0.3263, 0.5000, 0.2502)
O (0.3985, 0.5000, 0.4714)
O (0.4722, 0.5000, 0.7526)
O (0.4754, 0.0000, 0.1297)
O (0.5121, 0.5000, 0.9779)
O (0.5975, 0.0000, 0.3667)
O (0.7013, 0.5000, 0.2234)
O (0.7872, 0.0000, 0.6229)
O (0.8244, 0.5000, 0.4717)
O (0.8356, 0.0000, 0.8483)
O (0.9223, 0.0000, 0.1375)
O (0.9744, 0.0000, 0.3506)

=====

(11)
This record from the Materials Project describes crystalline NaCaTbFeO6 at its relaxed geometry. The functional is PBE+U.

Total DFT energy (no corrections): -6.161 eV per atom

Cell: 5.7183 5.7183 5.7183 Å, 60.00 60.00 60.00°
Fractional positions:
Na (0.0000, 0.0000, 0.0000)
Ca (0.5000, 0.5000, 0.5000)
Tb (0.2500, 0.2500, 0.2500)
Fe (0.7500, 0.7500, 0.7500)
O (0.5209, 0.5209, 0.9791)
O (0.5209, 0.9791, 0.5209)
O (0.5209, 0.9791, 0.9791)
O (0.9791, 0.5209, 0.5209)
O (0.9791, 0.5209, 0.9791)
O (0.9791, 0.9791, 0.5209)

=====

(12)
This record from the Materials Project describes crystalline LiVPO4 at its relaxed geometry. The functional is PBE+U.

Offset from the most stable computed form: 0.37 eV/f.u.
Total DFT energy (no corrections): -7.125 eV per atom

Cell: 4.9373 4.9373 16.1825 Å, 90.00 81.23 120.00°
Fractional positions:
Li (0.9951, 0.9975, 0.0074)
Li (0.9951, 0.4975, 0.5074)
Li (0.4294, 0.2147, 0.3559)
Li (0.4294, 0.7147, 0.8559)
V (0.8743, 0.4372, 0.6885)
V (0.5501, 0.2751, 0.1748)
V (0.8743, 0.9372, 0.1885)
V (0.5501, 0.7751, 0.6748)
P (0.2895, 0.6447, 0.0658)
P (0.2895, 0.1447, 0.5658)
P (0.1350, 0.5675, 0.2975)
P (0.1350, 0.0675, 0.7975)
O (0.3522, 0.1761, 0.4718)
O (0.3522, 0.6761, 0.9718)
O (0.0723, 0.5362, 0.3915)
O (0.0723, 0.0362, 0.8915)
O (0.1815, 0.8905, 0.2632)
O (0.1815, 0.3905, 0.7632)
O (0.5782, 0.9214, 0.1001)
O (0.5782, 0.4214, 0.6001)
O (0.2431, 0.3217, 0.1001)
O (0.2431, 0.8217, 0.6001)
O (0.4459, 0.5553, 0.2632)
O (0.4459, 0.0553, 0.7632)
O (0.8462, 0.2909, 0.2632)
O (0.8463, 0.7909, 0.7632)
O (0.9786, 0.6569, 0.1001)
O (0.9786, 0.1569, 0.6001)